# 1
Entry from the Materials Project: a geometry-optimized Li3GdB2O6 structure (r²SCAN).

Unit cell a=6.3783 b=8.7346 c=10.0682 alpha=62.92 beta=90.00 gamma=90.00
With the nearest neighbours (Å) after each atom.
Sites, in units of the cell vectors:
O 0.7912 0.6183 0.8124  1 B 1.37
O 0.2171 0.0087 0.0127  1 B 1.37
O 0.2829 0.0087 0.5127  1 B 1.37
B 0.8299 0.9480 0.3933  3 O 1.37-1.39
O 0.5595 0.3357 0.4489  1 B 1.40
B 0.3299 0.0520 0.1067  3 O 1.37-1.39
Li 0.7796 0.1641 0.5412  4 O 1.87-1.95
O 0.2111 0.5890 0.2867  1 B 1.39
O 0.2889 0.5890 0.7867  1 B 1.39
Gd 0.4728 0.1824 0.2997  7 O 2.31-2.53
O 0.7829 0.9913 0.9873  1 B 1.37
O 0.9405 0.3357 0.9489  1 B 1.40
B 0.8372 0.4595 0.8233  3 O 1.37-1.40
O 0.4361 0.2039 0.0593  1 B 1.37
O 0.4405 0.6643 0.5511  1 B 1.40
O 0.3206 0.9404 0.2582  1 B 1.39
B 0.3372 0.5405 0.6767  3 O 1.37-1.40
O 0.0595 0.6643 0.0511  1 B 1.40
O 0.0639 0.2039 0.5593  1 B 1.37
O 0.2912 0.3817 0.6876  1 B 1.37
Li 0.7569 0.6050 0.0212  4 O 1.93-2.06
O 0.8206 0.0596 0.2418  1 B 1.39
B 0.1701 0.0520 0.6067  3 O 1.37-1.39
O 0.2088 0.3817 0.1876  1 B 1.37
O 0.7111 0.4110 0.2133  1 B 1.39
Li 0.2431 0.3950 0.9788  4 O 1.93-2.06
B 0.6701 0.9480 0.8933  3 O 1.37-1.39
O 0.1794 0.9404 0.7582  1 B 1.39
O 0.7171 0.9913 0.4873  1 B 1.37
B 0.6628 0.4595 0.3233  3 O 1.37-1.40
Li 0.9375 0.2950 0.1657  4 O 1.94-2.05
Gd 0.5272 0.8176 0.7003  7 O 2.31-2.53
Li 0.2796 0.8359 0.9588  4 O 1.87-1.95
O 0.9361 0.7961 0.4407  1 B 1.37
Li 0.7204 0.1641 0.0412  4 O 1.87-1.95
Li 0.4375 0.7050 0.3343  4 O 1.94-2.05
B 0.1628 0.5405 0.1767  3 O 1.37-1.40
Li 0.2204 0.8359 0.4588  4 O 1.87-1.95
Li 0.2569 0.3950 0.4788  4 O 1.93-2.06
Li 0.5625 0.2950 0.6657  4 O 1.94-2.05
Gd 0.0272 0.1824 0.7997  7 O 2.31-2.53
Li 0.7431 0.6050 0.5212  4 O 1.93-2.06
O 0.7088 0.6183 0.3124  1 B 1.37
Gd 0.9728 0.8176 0.2003  7 O 2.31-2.53
O 0.5639 0.7961 0.9407  1 B 1.37
O 0.7889 0.4110 0.7133  1 B 1.39
Li 0.0625 0.7050 0.8343  4 O 1.94-2.05
O 0.6794 0.0596 0.7418  1 B 1.39

Computed properties:
Symmetry: No. 14

# 2
Entry from the Materials Project: a geometry-optimized Gd2NiB10 structure (r²SCAN).

Unit cell a=4.1532 b=5.5630 c=11.0979 alpha=90.00 beta=90.00 gamma=90.00
With the nearest neighbours (Å) after each atom.
Sites, in units of the cell vectors:
Gd 0.5000 0.1850 0.3623  20 B 2.84-2.99, 2 Ni 3.12
B 0.0000 0.9717 0.8139  4 B 1.66-1.76
B 0.0000 0.1606 0.6984  5 B 1.66-1.76
Ni 0.0000 0.5000 0.5000  8 B 2.07-2.13
B 0.0000 0.0283 0.1861  4 B 1.66-1.76
B 0.3010 0.8004 0.8859  4 B 1.65-1.78
B 0.6990 0.1996 0.1141  4 B 1.65-1.78
B 0.0000 0.6606 0.8016  5 B 1.66-1.76
B 0.0000 0.3394 0.1984  5 B 1.66-1.76
B 0.0000 0.8733 0.4590  4 B 1.68-1.78
Gd 0.5000 0.8150 0.6377  20 B 2.84-2.99, 2 Ni 3.12
B 0.3010 0.3004 0.6141  4 B 1.65-1.78
Ni 0.0000 0.0000 0.0000  8 B 2.07-2.13
B 0.0000 0.6267 0.9590  4 B 1.68-1.78
B 0.3010 0.6996 0.3859  4 B 1.65-1.78
B 0.6990 0.3004 0.6141  4 B 1.65-1.78
B 0.6990 0.8004 0.8859  4 B 1.65-1.78
B 0.0000 0.1267 0.5410  4 B 1.68-1.78
Gd 0.5000 0.3150 0.8623  20 B 2.84-2.99, 2 Ni 3.12
B 0.3010 0.1996 0.1141  4 B 1.65-1.78
B 0.0000 0.8394 0.3016  5 B 1.66-1.76
B 0.0000 0.3733 0.0410  4 B 1.68-1.78
B 0.6990 0.6996 0.3859  4 B 1.65-1.78
Gd 0.5000 0.6850 0.1377  20 B 2.84-2.99, 2 Ni 3.12
B 0.0000 0.5283 0.3139  4 B 1.66-1.76
B 0.0000 0.4717 0.6861  4 B 1.66-1.76

Computed properties:
Symmetry: No. 55

Number 1: electronic total energy -539.905 eV per cell. Number 2: electronic total energy -359.371 eV per cell.